[1]
Below is crystalline Y2Ga2Fe15 at its relaxed geometry, with properties calculated at the PBE level.

Lattice parameters (Å, degrees): 6.4163 6.4163 6.4163 82.42 82.42 82.42
Last column: nearest neighbours and their distance in Å.
Sites, in units of the cell vectors:
Y (0.6527, 0.6527, 0.6527)  18 Fe 2.98-3.32, 1 Ga 3.05
Y (0.3473, 0.3473, 0.3473)  18 Fe 2.98-3.32, 1 Ga 3.05
Ga (0.8972, 0.8972, 0.8972)  12 Fe 2.57-2.84, 1 Ga 2.57
Ga (0.1028, 0.1028, 0.1028)  12 Fe 2.57-2.84, 1 Ga 2.57
Fe (0.0000, 0.0000, 0.5000)  8 Fe 2.45, 2 Ga 2.57
Fe (0.0000, 0.5000, 0.0000)  8 Fe 2.45, 2 Ga 2.57
Fe (0.5000, 0.0000, 0.0000)  8 Fe 2.45, 2 Ga 2.57
Fe (0.2994, 0.7006, 0.0000)  8 Fe 2.45-2.61
Fe (0.7006, 0.0000, 0.2994)  8 Fe 2.45-2.61
Fe (0.0000, 0.2994, 0.7006)  8 Fe 2.45-2.61
Fe (0.2994, 0.0000, 0.7006)  8 Fe 2.45-2.61
Fe (0.0000, 0.7006, 0.2994)  8 Fe 2.45-2.61
Fe (0.7006, 0.2994, 0.0000)  8 Fe 2.45-2.61
Fe (0.3417, 0.3417, 0.8404)  8 Fe 2.44-2.61, 1 Ga 2.61
Fe (0.3417, 0.8404, 0.3417)  8 Fe 2.44-2.61, 1 Ga 2.61
Fe (0.8404, 0.3417, 0.3417)  8 Fe 2.44-2.61, 1 Ga 2.61
Fe (0.6583, 0.6583, 0.1596)  8 Fe 2.44-2.61, 1 Ga 2.61
Fe (0.6583, 0.1596, 0.6583)  8 Fe 2.44-2.61, 1 Ga 2.61
Fe (0.1596, 0.6583, 0.6583)  8 Fe 2.44-2.61, 1 Ga 2.61

Computed properties:
Raw total energy   -7.74 eV/atom
M_tot   29.30 μB per cell
E_form   -1.05 eV per formula unit


[2]
Below is crystalline Na3EuC3O9 at its relaxed geometry, with properties calculated at the PBE level.

Lattice parameters (Å, degrees): 6.6804 6.6804 10.1446 90.00 90.00 113.63
Last column: nearest neighbours and their distance in Å.
Sites, in units of the cell vectors:
Na (0.3712, 0.4048, 0.2500)  6 O 2.32-2.48
Na (0.0657, 0.0657, 0.5000)  8 O 2.48-2.67
Na (0.7974, 0.2093, 0.7500)  8 O 2.42-2.70
Na (0.4048, 0.3712, 0.7500)  6 O 2.32-2.48
Na (0.0657, 0.0657, 0.0000)  8 O 2.48-2.67
Na (0.2093, 0.7974, 0.2500)  8 O 2.42-2.70
Eu (0.7727, 0.2269, 0.2500)  9 O 2.46-2.58
Eu (0.2269, 0.7727, 0.7500)  9 O 2.46-2.58
C (0.7817, 0.7593, 0.7500)  3 O 1.29-1.32
C (0.7593, 0.7817, 0.2500)  3 O 1.29-1.32
C (0.5290, 0.1250, 0.4990)  3 O 1.29-1.30
C (0.1250, 0.5290, 0.5010)  3 O 1.29-1.30
C (0.1250, 0.5290, 0.9990)  3 O 1.29-1.30
C (0.5290, 0.1250, 0.0010)  3 O 1.29-1.30
O (0.4326, 0.1072, 0.6119)  1 C 1.30
O (0.1547, 0.4373, 0.8915)  1 C 1.30
O (0.7189, 0.1185, 0.4908)  1 C 1.29
O (0.4373, 0.1547, 0.1085)  1 C 1.30
O (0.8069, 0.5774, 0.7500)  1 C 1.29
O (0.5774, 0.8069, 0.2500)  1 C 1.29
O (0.1185, 0.7189, 0.9908)  1 C 1.29
O (0.1072, 0.4326, 0.3881)  1 C 1.30
O (0.9582, 0.9433, 0.7500)  1 C 1.32
O (0.9433, 0.9582, 0.2500)  1 C 1.32
O (0.4373, 0.1547, 0.3915)  1 C 1.30
O (0.1072, 0.4326, 0.1119)  1 C 1.30
O (0.5909, 0.7640, 0.7500)  1 C 1.29
O (0.1185, 0.7189, 0.5092)  1 C 1.29
O (0.7640, 0.5909, 0.2500)  1 C 1.29
O (0.4326, 0.1072, 0.8881)  1 C 1.30
O (0.7189, 0.1185, 0.0092)  1 C 1.29
O (0.1547, 0.4373, 0.6085)  1 C 1.30

Computed properties:
Raw total energy   -7.28 eV/atom
M_tot   12.00 μB per cell
E_form   -36.24 eV per formula unit


[3]
Below is crystalline DyAlAu at its relaxed geometry, with properties calculated at the PBE level.

Lattice parameters (Å, degrees): 4.4687 7.2129 7.7969 90.00 90.00 90.00
Last column: nearest neighbours and their distance in Å.
Sites, in units of the cell vectors:
Dy (0.2500, 0.0092, 0.3057)  5 Au 3.03-3.17, 6 Al 3.14-3.35
Dy (0.2500, 0.5092, 0.1943)  5 Au 3.03-3.17, 6 Al 3.14-3.35
Dy (0.7500, 0.9908, 0.6943)  5 Au 3.03-3.17, 6 Al 3.14-3.35
Dy (0.7500, 0.4908, 0.8057)  5 Au 3.03-3.17, 6 Al 3.14-3.35
Al (0.2500, 0.1686, 0.9237)  4 Au 2.64-2.77
Al (0.2500, 0.6686, 0.5763)  4 Au 2.64-2.77
Al (0.7500, 0.8314, 0.0763)  4 Au 2.64-2.77
Al (0.7500, 0.3314, 0.4237)  4 Au 2.64-2.77
Au (0.2500, 0.2854, 0.5978)  4 Al 2.64-2.77
Au (0.2500, 0.7854, 0.9022)  4 Al 2.64-2.77
Au (0.7500, 0.7146, 0.4022)  4 Al 2.64-2.77
Au (0.7500, 0.2146, 0.0978)  4 Al 2.64-2.77

Computed properties:
Raw total energy   -4.67 eV/atom
E_form   -2.38 eV per formula unit


[4]
Below is crystalline NaMgGaS3O12 at its relaxed geometry, with properties calculated at the PBE level.

Lattice parameters (Å, degrees): 8.5392 8.5392 22.3027 90.00 90.00 120.00
Last column: nearest neighbours and their distance in Å.
Sites, in units of the cell vectors:
Na (0.0000, 0.0000, 0.4990)  6 O 2.52-2.54
Na (0.0000, 0.0000, 0.9990)  6 O 2.52-2.54
Na (0.6667, 0.3333, 0.8323)  6 O 2.52-2.54
Na (0.6667, 0.3333, 0.3323)  6 O 2.52-2.54
Na (0.3333, 0.6667, 0.1656)  6 O 2.52-2.54
Na (0.3333, 0.6667, 0.6656)  6 O 2.52-2.54
Mg (0.0000, 0.0000, 0.3523)  6 O 2.00-2.06
Mg (0.0000, 0.0000, 0.8523)  6 O 2.00-2.06
Mg (0.6667, 0.3333, 0.6857)  6 O 2.00-2.06
Mg (0.6667, 0.3333, 0.1857)  6 O 2.00-2.06
Mg (0.3333, 0.6667, 0.0190)  6 O 2.00-2.06
Mg (0.3333, 0.6667, 0.5190)  6 O 2.00-2.06
Ga (0.0000, 0.0000, 0.6502)  6 O 1.98-2.03
Ga (0.0000, 0.0000, 0.1502)  6 O 1.98-2.03
Ga (0.6667, 0.3333, 0.9835)  6 O 1.98-2.03
Ga (0.6667, 0.3333, 0.4835)  6 O 1.98-2.03
Ga (0.3333, 0.6667, 0.3168)  6 O 1.98-2.03
Ga (0.3333, 0.6667, 0.8168)  6 O 1.98-2.03
S (0.2905, 0.9964, 0.2509)  4 O 1.45-1.51
S (0.7059, 0.7095, 0.2509)  4 O 1.45-1.51
S (0.0036, 0.2941, 0.2509)  4 O 1.45-1.51
S (0.2905, 0.2941, 0.7509)  4 O 1.45-1.51
S (0.0036, 0.7095, 0.7509)  4 O 1.45-1.51
S (0.7059, 0.9964, 0.7509)  4 O 1.45-1.51
S (0.9572, 0.3297, 0.5842)  4 O 1.45-1.51
S (0.3726, 0.0428, 0.5842)  4 O 1.45-1.51
S (0.6703, 0.6274, 0.5842)  4 O 1.45-1.51
S (0.9572, 0.6274, 0.0842)  4 O 1.45-1.51
S (0.6703, 0.0428, 0.0842)  4 O 1.45-1.51
S (0.3726, 0.3297, 0.0842)  4 O 1.45-1.51
S (0.6238, 0.6631, 0.9175)  4 O 1.45-1.51
S (0.0392, 0.3762, 0.9175)  4 O 1.45-1.51
S (0.3369, 0.9608, 0.9175)  4 O 1.45-1.51
S (0.6238, 0.9608, 0.4175)  4 O 1.45-1.51
S (0.3369, 0.3762, 0.4175)  4 O 1.45-1.51
S (0.0392, 0.6631, 0.4175)  4 O 1.45-1.51
O (0.2064, 0.0216, 0.3038)  1 S 1.45
O (0.8152, 0.7936, 0.3038)  1 S 1.45
O (0.9784, 0.1848, 0.3038)  1 S 1.45
O (0.2064, 0.1848, 0.8038)  1 S 1.45
O (0.9784, 0.7936, 0.8038)  1 S 1.45
O (0.8152, 0.0216, 0.8038)  1 S 1.45
O (0.7847, 0.9638, 0.6951)  1 S 1.51
O (0.1791, 0.2153, 0.6951)  1 S 1.51
O (0.0362, 0.8209, 0.6951)  1 S 1.51
O (0.7847, 0.8209, 0.1951)  1 S 1.51
O (0.0362, 0.2153, 0.1951)  1 S 1.51
O (0.1791, 0.9638, 0.1951)  1 S 1.51
O (0.8731, 0.3550, 0.6372)  1 S 1.45
O (0.4819, 0.1269, 0.6372)  1 S 1.45
O (0.6450, 0.5181, 0.6372)  1 S 1.45
O (0.8731, 0.5181, 0.1372)  1 S 1.45
O (0.6450, 0.1269, 0.1372)  1 S 1.45
O (0.4819, 0.3550, 0.1372)  1 S 1.45
O (0.4514, 0.2971, 0.0284)  1 S 1.51
O (0.8458, 0.5486, 0.0284)  1 S 1.51
O (0.7029, 0.1542, 0.0284)  1 S 1.51
O (0.4514, 0.1542, 0.5284)  1 S 1.51
O (0.7029, 0.5486, 0.5284)  1 S 1.51
O (0.8458, 0.2971, 0.5284)  1 S 1.51
O (0.5398, 0.6883, 0.9705)  1 S 1.45
O (0.1486, 0.4602, 0.9705)  1 S 1.45
O (0.3117, 0.8514, 0.9705)  1 S 1.45
O (0.5398, 0.8514, 0.4705)  1 S 1.45
O (0.3117, 0.4602, 0.4705)  1 S 1.45
O (0.1486, 0.6883, 0.4705)  1 S 1.45
O (0.1180, 0.6304, 0.3617)  1 S 1.51
O (0.5124, 0.8820, 0.3617)  1 S 1.51
O (0.3696, 0.4876, 0.3617)  1 S 1.51
O (0.1180, 0.4876, 0.8617)  1 S 1.51
O (0.3696, 0.8820, 0.8617)  1 S 1.51
O (0.5124, 0.6304, 0.8617)  1 S 1.51
O (0.0171, 0.8220, 0.4104)  1 S 1.47
O (0.8049, 0.9829, 0.4104)  1 S 1.47
O (0.1780, 0.1951, 0.4104)  1 S 1.47
O (0.0171, 0.1951, 0.9104)  1 S 1.47
O (0.1780, 0.9829, 0.9104)  1 S 1.47
O (0.8049, 0.8220, 0.9104)  1 S 1.47
O (0.9740, 0.1630, 0.5894)  1 S 1.50
O (0.1890, 0.0260, 0.5894)  1 S 1.50
O (0.8370, 0.8110, 0.5894)  1 S 1.50
O (0.9740, 0.8110, 0.0894)  1 S 1.50
O (0.8370, 0.0260, 0.0894)  1 S 1.50
O (0.1890, 0.1630, 0.0894)  1 S 1.50
O (0.6838, 0.1553, 0.7437)  1 S 1.47
O (0.4715, 0.3162, 0.7437)  1 S 1.47
O (0.8447, 0.5285, 0.7437)  1 S 1.47
O (0.6838, 0.5285, 0.2437)  1 S 1.47
O (0.8447, 0.3162, 0.2437)  1 S 1.47
O (0.4715, 0.1553, 0.2437)  1 S 1.47
O (0.6406, 0.4963, 0.9227)  1 S 1.50
O (0.8557, 0.3594, 0.9227)  1 S 1.50
O (0.5037, 0.1443, 0.9227)  1 S 1.50
O (0.6406, 0.1443, 0.4227)  1 S 1.50
O (0.5037, 0.3594, 0.4227)  1 S 1.50
O (0.8557, 0.4963, 0.4227)  1 S 1.50
O (0.3505, 0.4887, 0.0770)  1 S 1.47
O (0.1382, 0.6495, 0.0770)  1 S 1.47
O (0.5113, 0.8618, 0.0770)  1 S 1.47
O (0.3505, 0.8618, 0.5770)  1 S 1.47
O (0.5113, 0.6495, 0.5770)  1 S 1.47
O (0.1382, 0.4887, 0.5770)  1 S 1.47
O (0.3073, 0.8297, 0.2560)  1 S 1.50
O (0.5224, 0.6927, 0.2560)  1 S 1.50
O (0.1703, 0.4776, 0.2560)  1 S 1.50
O (0.3073, 0.4776, 0.7560)  1 S 1.50
O (0.1703, 0.6927, 0.7560)  1 S 1.50
O (0.5224, 0.8297, 0.7560)  1 S 1.50

Computed properties:
Raw total energy   -6.03 eV/atom
M_tot   0.00 μB per cell
E_form   -38.97 eV per formula unit


[5]
Below is crystalline Ce8SnPd24 at its relaxed geometry, with properties calculated at the PBE level.

Lattice parameters (Å, degrees): 8.4870 8.4870 8.4870 90.00 90.00 90.00
Last column: nearest neighbours and their distance in Å.
Sites, in units of the cell vectors:
Ce (0.2479, 0.2479, 0.2479)  12 Pd 3.01-3.03
Ce (0.7521, 0.7521, 0.7521)  12 Pd 3.01-3.03
Ce (0.7521, 0.7521, 0.2479)  12 Pd 3.01-3.03
Ce (0.7521, 0.2479, 0.7521)  12 Pd 3.01-3.03
Ce (0.2479, 0.2479, 0.7521)  12 Pd 3.01-3.03
Ce (0.2479, 0.7521, 0.2479)  12 Pd 3.01-3.03
Ce (0.2479, 0.7521, 0.7521)  12 Pd 3.01-3.03
Ce (0.7521, 0.2479, 0.2479)  12 Pd 3.01-3.03
Sn (0.0000, 0.0000, 0.0000)  6 Pd 2.68
Pd (0.2672, 0.5000, 0.0000)  6 Pd 2.75-2.93, 4 Ce 3.01
Pd (0.7328, 0.5000, 0.0000)  6 Pd 2.75-2.93, 4 Ce 3.01
Pd (0.0000, 0.2672, 0.5000)  6 Pd 2.75-2.93, 4 Ce 3.01
Pd (0.5000, 0.2672, 0.0000)  6 Pd 2.75-2.93, 4 Ce 3.01
Pd (0.0000, 0.7328, 0.5000)  6 Pd 2.75-2.93, 4 Ce 3.01
Pd (0.5000, 0.7328, 0.0000)  6 Pd 2.75-2.93, 4 Ce 3.01
Pd (0.5000, 0.0000, 0.2672)  6 Pd 2.75-2.93, 4 Ce 3.01
Pd (0.2672, 0.0000, 0.5000)  6 Pd 2.75-2.93, 4 Ce 3.01
Pd (0.5000, 0.0000, 0.7328)  6 Pd 2.75-2.93, 4 Ce 3.01
Pd (0.7328, 0.0000, 0.5000)  6 Pd 2.75-2.93, 4 Ce 3.01
Pd (0.0000, 0.5000, 0.2672)  6 Pd 2.75-2.93, 4 Ce 3.01
Pd (0.0000, 0.5000, 0.7328)  6 Pd 2.75-2.93, 4 Ce 3.01
Pd (0.2549, 0.5000, 0.5000)  8 Pd 2.93-2.94, 4 Ce 3.03
Pd (0.7451, 0.5000, 0.5000)  8 Pd 2.93-2.94, 4 Ce 3.03
Pd (0.5000, 0.2549, 0.5000)  8 Pd 2.93-2.94, 4 Ce 3.03
Pd (0.5000, 0.7451, 0.5000)  8 Pd 2.93-2.94, 4 Ce 3.03
Pd (0.5000, 0.5000, 0.2549)  8 Pd 2.93-2.94, 4 Ce 3.03
Pd (0.5000, 0.5000, 0.7451)  8 Pd 2.93-2.94, 4 Ce 3.03
Pd (0.3158, 0.0000, 0.0000)  1 Sn 2.68, 4 Pd 2.75
Pd (0.6842, 0.0000, 0.0000)  1 Sn 2.68, 4 Pd 2.75
Pd (0.0000, 0.3158, 0.0000)  1 Sn 2.68, 4 Pd 2.75
Pd (0.0000, 0.6842, 0.0000)  1 Sn 2.68, 4 Pd 2.75
Pd (0.0000, 0.0000, 0.3158)  1 Sn 2.68, 4 Pd 2.75
Pd (0.0000, 0.0000, 0.6842)  1 Sn 2.68, 4 Pd 2.75

Computed properties:
Raw total energy   -6.12 eV/atom
M_tot   5.58 μB per cell
E_form   -26.29 eV per formula unit


[6]
Below is crystalline Mn4Si7 at its relaxed geometry, with properties calculated at the PBE level.

Lattice parameters (Å, degrees): 5.5022 5.5025 17.3661 90.00 90.00 90.00
Last column: nearest neighbours and their distance in Å.
Sites, in units of the cell vectors:
Mn (0.0000, 0.7500, 0.0289)  4 Si 2.29-2.30
Mn (0.5000, 0.7500, 0.5887)  8 Si 2.30-2.56
Mn (0.5000, 0.2500, 0.9113)  8 Si 2.30-2.56
Mn (0.5000, 0.7500, 0.3479)  8 Si 2.32-2.50
Mn (0.5000, 0.7500, 0.8479)  8 Si 2.32-2.50
Mn (0.5000, 0.7500, 0.0887)  8 Si 2.30-2.56
Mn (0.0000, 0.2500, 0.2177)  8 Si 2.37-2.42
Mn (0.5000, 0.2500, 0.6521)  8 Si 2.32-2.50
Mn (0.0000, 0.2500, 0.9711)  4 Si 2.29-2.30
Mn (0.5000, 0.2500, 0.1521)  8 Si 2.32-2.50
Mn (0.0000, 0.7500, 0.2823)  8 Si 2.37-2.42
Mn (0.0000, 0.2500, 0.7177)  8 Si 2.37-2.42
Mn (0.5000, 0.2500, 0.4113)  8 Si 2.30-2.56
Mn (0.0000, 0.7500, 0.7823)  8 Si 2.37-2.42
Mn (0.0000, 0.7500, 0.5289)  4 Si 2.29-2.30
Mn (0.0000, 0.2500, 0.4711)  4 Si 2.29-2.30
Si (0.2150, 0.0964, 0.8260)  4 Mn 2.32-2.50, 1 Si 2.55
Si (0.6716, 0.9119, 0.4664)  4 Mn 2.29-2.49, 2 Si 2.42-2.45
Si (0.7850, 0.5964, 0.6740)  4 Mn 2.32-2.50, 1 Si 2.55
Si (0.7850, 0.4036, 0.8260)  4 Mn 2.32-2.50, 1 Si 2.55
Si (0.8431, 0.5622, 0.3981)  4 Mn 2.30-2.56, 2 Si 2.45-2.55
Si (0.7850, 0.0964, 0.3260)  4 Mn 2.32-2.50, 1 Si 2.55
Si (0.8431, 0.0622, 0.6019)  4 Mn 2.30-2.56, 2 Si 2.45-2.55
Si (0.3284, 0.4119, 0.0336)  4 Mn 2.29-2.49, 2 Si 2.42-2.45
Si (0.1569, 0.9378, 0.3981)  4 Mn 2.30-2.56, 2 Si 2.45-2.55
Si (0.8431, 0.4378, 0.1019)  4 Mn 2.30-2.56, 2 Si 2.45-2.55
Si (0.3284, 0.9119, 0.9664)  4 Mn 2.29-2.49, 2 Si 2.42-2.45
Si (0.8431, 0.9378, 0.8981)  4 Mn 2.30-2.56, 2 Si 2.45-2.55
Si (0.2150, 0.9036, 0.6740)  4 Mn 2.32-2.50, 1 Si 2.55
Si (0.6716, 0.0881, 0.0336)  4 Mn 2.29-2.49, 2 Si 2.42-2.45
Si (0.2150, 0.4036, 0.3260)  4 Mn 2.32-2.50, 1 Si 2.55
Si (0.6541, 0.0000, 0.7500)  4 Mn 2.35-2.41
Si (0.6716, 0.4119, 0.5336)  4 Mn 2.29-2.49, 2 Si 2.42-2.45
Si (0.6716, 0.5881, 0.9664)  4 Mn 2.29-2.49, 2 Si 2.42-2.45
Si (0.3284, 0.0881, 0.5336)  4 Mn 2.29-2.49, 2 Si 2.42-2.45
Si (0.3459, 0.5000, 0.7500)  4 Mn 2.35-2.41
Si (0.7850, 0.9036, 0.1740)  4 Mn 2.32-2.50, 1 Si 2.55
Si (0.2150, 0.5964, 0.1740)  4 Mn 2.32-2.50, 1 Si 2.55
Si (0.1569, 0.0622, 0.1019)  4 Mn 2.30-2.56, 2 Si 2.45-2.55
Si (0.3459, 0.0000, 0.2500)  4 Mn 2.35-2.41
Si (0.6541, 0.5000, 0.2500)  4 Mn 2.35-2.41
Si (0.3284, 0.5881, 0.4664)  4 Mn 2.29-2.49, 2 Si 2.42-2.45
Si (0.1569, 0.5622, 0.8981)  4 Mn 2.30-2.56, 2 Si 2.45-2.55
Si (0.1569, 0.4378, 0.6019)  4 Mn 2.30-2.56, 2 Si 2.45-2.55

Computed properties:
Raw total energy   -7.22 eV/atom
M_tot   0.00 μB per cell
E_form   -4.26 eV per formula unit